## BaPb (PBE)

Data for a relaxed structure of BaPb.

abc: 7.008 7.008 4.904
angles: 90.00 90.00 134.72
Fractional coordinates of all 4 atoms:
Ba: 0.133 0.867 0.750
Ba: 0.867 0.133 0.250
Pb: 0.422 0.578 0.750
Pb: 0.578 0.422 0.250

Its formation energy is -0.588 eV/atom.



## Rb4U3As2O16 (PBE)

Data for a relaxed structure of Rb4U3As2O16.

abc: 7.168 17.652 7.222
angles: 90.00 90.92 90.00
Fractional coordinates of all 50 atoms:
Rb: 0.000 0.000 0.000
Rb: 0.000 0.500 0.000
Rb: 0.042 0.250 0.947
Rb: 0.463 0.615 0.106
Rb: 0.463 0.885 0.106
Rb: 0.537 0.115 0.894
Rb: 0.537 0.385 0.894
Rb: 0.958 0.750 0.053
U: 0.219 0.144 0.423
U: 0.219 0.356 0.423
U: 0.282 0.750 0.579
U: 0.718 0.250 0.421
U: 0.781 0.644 0.577
U: 0.781 0.856 0.577
As: 0.284 0.554 0.600
As: 0.284 0.946 0.600
As: 0.716 0.054 0.400
As: 0.716 0.446 0.400
O: 0.037 0.250 0.399
O: 0.102 0.618 0.620
O: 0.102 0.882 0.620
O: 0.195 0.145 0.678
O: 0.195 0.355 0.678
O: 0.240 0.137 0.167
O: 0.240 0.363 0.167
O: 0.241 0.010 0.424
O: 0.241 0.490 0.424
O: 0.260 0.750 0.323
O: 0.306 0.750 0.834
O: 0.333 0.517 0.810
O: 0.333 0.983 0.810
O: 0.401 0.250 0.431
O: 0.446 0.621 0.529
O: 0.446 0.879 0.529
O: 0.554 0.121 0.471
O: 0.554 0.379 0.471
O: 0.599 0.750 0.569
O: 0.667 0.017 0.190
O: 0.667 0.483 0.190
O: 0.694 0.250 0.166
O: 0.740 0.250 0.677
O: 0.759 0.510 0.576
O: 0.759 0.990 0.576
O: 0.760 0.637 0.833
O: 0.760 0.863 0.833
O: 0.805 0.645 0.322
O: 0.805 0.855 0.322
O: 0.898 0.118 0.380
O: 0.898 0.382 0.380
O: 0.963 0.750 0.601

Its total magnetic moment is 0.000 μB per atom. Its formation energy is -2.837 eV/atom.



Number 1: V 85.6 Å³/f.u., total DFT energy (no corrections) -3.4040 eV per atom. Number 2: V 456.8 Å³/f.u., total DFT energy (no corrections) -7.4491 eV per atom.